Model A:
Density functional theory data (PBE) for a relaxed structure of TeMo6.

Summary:
total magnetic moment	0.019	Bohr magnetons per cell

Geometry as CIF:
```
data_TeMo6
_symmetry_space_group_name_H-M 'C m c e'
_symmetry_Int_Tables_number 64
_symmetry_space_group_name_Hall '-C 2ac 2'
_cell_length_a 13.416
_cell_length_b 6.189
_cell_length_c 6.217
_cell_angle_alpha 90.00
_cell_angle_beta 90.00
_cell_angle_gamma 90.00
loop_
_atom_site_label
_atom_site_fract_x
_atom_site_fract_y
_atom_site_fract_z
_atom_site_occupancy
Te1 0.000 0.000 0.000 1
Mo1 0.134 0.249 0.250 1
Mo2 0.245 0.000 0.500 1
```


Model B:
Density functional theory data (PBE) for a relaxed structure of TeMo6.

Summary:
total magnetic moment	0.015	Bohr magnetons per cell

Geometry as CIF:
```
data_TeMo6
_symmetry_space_group_name_H-M 'C m c e'
_symmetry_Int_Tables_number 64
_symmetry_space_group_name_Hall '-C 2ac 2'
_cell_length_a 17.806
_cell_length_b 5.359
_cell_length_c 5.337
_cell_angle_alpha 90.00
_cell_angle_beta 90.00
_cell_angle_gamma 90.00
loop_
_atom_site_label
_atom_site_fract_x
_atom_site_fract_y
_atom_site_fract_z
_atom_site_occupancy
Te1 0.000 0.000 0.000 1
Mo1 0.126 0.176 0.262 1
Mo2 0.249 0.000 0.500 1
```


What are the relative energies? In meV/atom: model A 110; model B 0.